A relaxed Na2AlCuF6 crystal, computed with GGA-PBE.

Computed properties:
For the mass density, the calculation gives 3.2 g/cm³. The value obtained for the calculated formation energy is -2.90 eV/atom.

Geometry as POSCAR:
```
Na2AlCuF6
1.0
4.5317 -2.3162 2.4930
1.5154 1.6388 5.2090
-0.6712 -3.5244 4.3868
Al F Cu Na
1 6 1 2
direct
0.0000 0.0000 0.0000
0.2270 0.2270 0.7730
0.7730 0.7730 0.2270
0.2270 0.7730 0.2270
0.2270 0.7730 0.7730
0.7730 0.2270 0.2270
0.7730 0.2270 0.7730
0.5000 0.5000 0.5000
0.2500 0.2500 0.2500
0.7500 0.7500 0.7500
```

A relaxed Ge3N4 crystal, computed with GGA-PBE.

Computed properties:
For the mass density, the calculation gives 6.3 g/cm³. The value obtained for the calculated formation energy is -0.14 eV/atom. As for the energy above the lowest structure with this stoichiometry: 10.5 kJ/mol of atoms.

Geometry as POSCAR:
```
Ge3N4
1.0
0.0000 4.1558 4.1558
4.1558 0.0000 4.1558
4.1558 4.1558 0.0000
N Ge
8 6
direct
0.3505 0.8832 0.8832
0.3668 0.3668 0.3668
0.3668 0.3668 0.8995
0.8832 0.8832 0.3505
0.8832 0.8832 0.8832
0.8832 0.3505 0.8832
0.8995 0.3668 0.3668
0.3668 0.8995 0.3668
0.1250 0.6250 0.1250
0.1250 0.1250 0.6250
0.6250 0.1250 0.1250
0.7500 0.7500 0.7500
0.1250 0.1250 0.1250
0.5000 0.5000 0.5000
```

A relaxed Ba6YBr15 crystal, computed with GGA-PBE.

Computed properties:
For the mass density, the calculation gives 3.0 g/cm³. The value obtained for the calculated formation energy is -2.43 eV/atom. As for the energy above the lowest structure with this stoichiometry: 3.7 kJ/mol of atoms.

Geometry as POSCAR:
```
Ba6YBr15
1.0
-8.8241 4.2090 7.5489
1.4655 -13.6670 9.3333
16.3237 5.1797 16.1932
Br Ba Y
60 24 4
direct
0.6173 0.2827 0.4767
0.4691 0.9417 0.7960
0.6413 0.4324 0.8958
0.3833 0.9452 0.3697
0.1256 0.6904 0.3858
0.1173 0.2173 0.0233
0.1142 0.5891 0.9932
0.7183 0.4253 0.3029
0.8684 0.0943 0.5000
0.6167 0.0548 0.6303
0.7839 0.8316 0.6731
0.6316 0.5943 0.0000
0.6310 0.2038 0.0278
0.1245 0.0288 0.9362
0.3731 0.7598 0.2471
0.1269 0.2598 0.7471
0.1254 0.4718 0.5554
0.8833 0.5548 0.1303
0.3755 0.5288 0.4362
0.0304 0.3174 0.1856
0.6256 0.8096 0.1142
0.1413 0.0676 0.6042
0.3690 0.7962 0.9722
0.3587 0.5676 0.1042
0.6254 0.0282 0.9446
0.6142 0.9109 0.5068
0.6245 0.4712 0.5638
0.3684 0.4057 0.0000
0.8587 0.9324 0.3958
0.5304 0.1826 0.3144
0.2839 0.6684 0.8269
0.8755 0.9712 0.0638
0.8752 0.1820 0.8842
0.2161 0.1684 0.3269
0.3858 0.0891 0.4932
0.3827 0.7173 0.5233
0.1167 0.4452 0.8697
0.8746 0.5282 0.4446
0.6269 0.2402 0.7529
0.8744 0.3096 0.6142
0.8827 0.7827 0.9767
0.0309 0.4417 0.2960
0.8858 0.4109 0.0068
0.3744 0.1904 0.8858
0.9696 0.6826 0.8144
0.1316 0.9057 0.5000
0.3752 0.3180 0.6158
0.2183 0.0747 0.1971
0.1248 0.8180 0.1158
0.2817 0.5747 0.6971
0.5309 0.0583 0.2040
0.7161 0.3316 0.1731
0.7817 0.9253 0.8029
0.1310 0.2962 0.4722
0.8690 0.7038 0.5278
0.9691 0.5583 0.7040
0.4696 0.8174 0.6856
0.8731 0.7402 0.2529
0.6248 0.6820 0.3842
0.3746 0.9718 0.0554
0.3773 0.7432 0.3806
0.8720 0.6060 0.9430
0.1272 0.2518 0.6162
0.8729 0.8914 0.5376
0.1280 0.3940 0.0570
0.1187 0.4904 0.4097
0.3729 0.6086 0.9624
0.6271 0.3914 0.0376
0.1227 0.2432 0.8806
0.6227 0.2568 0.6194
0.6280 0.1060 0.4430
0.3720 0.8940 0.5570
0.6187 0.0096 0.0903
0.8682 0.9808 0.9162
0.8813 0.5096 0.5903
0.3813 0.9904 0.9097
0.8773 0.7568 0.1194
0.6272 0.2482 0.8838
0.1318 0.0192 0.0838
0.1271 0.1086 0.4624
0.6318 0.4808 0.4162
0.3682 0.5192 0.5838
0.8728 0.7482 0.3838
0.3728 0.7518 0.1162
0.3726 0.0871 0.2804
0.8726 0.4129 0.2196
0.6274 0.9129 0.7196
0.1274 0.5871 0.7804
```

A relaxed SeCl crystal, computed with GGA-PBE.

Computed properties:
For the mass density, the calculation gives 2.6 g/cm³. The value obtained for the calculated formation energy is -0.50 eV/atom.

Geometry as POSCAR:
```
SeCl
1.0
-5.5823 -13.9953 0.0866
4.7116 -1.8877 -1.3658
2.6012 -0.9942 6.9961
Se Cl
8 8
direct
0.1396 0.0499 0.5989
0.3604 0.5499 0.5989
0.0541 0.8049 0.7922
0.5541 0.6951 0.2078
0.8604 0.9501 0.4011
0.6396 0.4501 0.4011
0.4459 0.3049 0.7922
0.9459 0.1951 0.2078
0.1422 0.5004 0.9367
0.3586 0.3663 0.3427
0.8578 0.4996 0.0633
0.8586 0.1337 0.6573
0.6414 0.6337 0.6573
0.6422 0.9996 0.0633
0.3578 0.0004 0.9367
0.1414 0.8663 0.3427
```

A relaxed SrAl2H6C2O11 crystal, computed with GGA-PBE.

Computed properties:
For the mass density, the calculation gives 2.8 g/cm³. The value obtained for the calculated formation energy is -2.17 eV/atom.

Geometry as POSCAR:
```
SrAl2H6C2O11
1.0
5.6512 0.0000 0.0000
0.0000 9.1658 0.0000
0.0000 0.0000 16.1814
O Al H C Sr
44 8 24 8 4
direct
0.9518 0.2402 0.4094
0.7500 0.5973 0.9591
0.7500 0.9027 0.4591
0.7500 0.5463 0.1657
0.7500 0.0335 0.3123
0.2500 0.7647 0.9722
0.9503 0.9017 0.8156
0.4503 0.4017 0.6844
0.7500 0.2353 0.0278
0.2500 0.0463 0.3343
0.0482 0.7598 0.5906
0.9518 0.2599 0.9094
0.7500 0.9537 0.6657
0.2500 0.0455 0.0691
0.2500 0.7133 0.7417
0.2500 0.9665 0.6877
0.2500 0.3059 0.2854
0.7500 0.5455 0.4309
0.2500 0.7867 0.2417
0.9503 0.5983 0.3156
0.2500 0.4027 0.0409
0.4503 0.0983 0.1844
0.7500 0.2133 0.7583
0.7500 0.6941 0.7146
0.0497 0.0983 0.1844
0.2500 0.4537 0.8343
0.4518 0.7402 0.0906
0.0497 0.4017 0.6844
0.5497 0.9017 0.8156
0.2500 0.1941 0.7854
0.7500 0.4665 0.8123
0.0482 0.7402 0.0906
0.7500 0.2867 0.2583
0.7500 0.9545 0.9309
0.5482 0.2402 0.4094
0.2500 0.0973 0.5409
0.7500 0.8059 0.2146
0.7500 0.2647 0.5278
0.5497 0.5983 0.3156
0.2500 0.7353 0.4722
0.5482 0.2599 0.9094
0.4518 0.7598 0.5906
0.2500 0.5335 0.1877
0.2500 0.4545 0.5691
0.0018 0.6723 0.2042
0.9982 0.3277 0.7958
0.5018 0.1723 0.2958
0.0018 0.8277 0.7042
0.4982 0.6723 0.2042
0.5018 0.3277 0.7958
0.9982 0.1723 0.2958
0.4982 0.8277 0.7042
0.7500 0.9661 0.6056
0.1108 0.3412 0.0299
0.3892 0.3412 0.0299
0.1108 0.1588 0.5299
0.7500 0.9838 0.3679
0.2500 0.8697 0.2807
0.6108 0.6588 0.9701
0.8892 0.6588 0.9701
0.2500 0.4838 0.1321
0.3892 0.1588 0.5299
0.2500 0.1120 0.7437
0.8892 0.8412 0.4701
0.7500 0.5162 0.8679
0.7500 0.8880 0.2563
0.7500 0.3697 0.2193
0.2500 0.0162 0.6321
0.7500 0.6120 0.7563
0.7500 0.5339 0.1056
0.2500 0.4661 0.8944
0.2500 0.3880 0.2437
0.7500 0.1303 0.7193
0.2500 0.0339 0.3944
0.6108 0.8412 0.4701
0.2500 0.6303 0.7807
0.7500 0.5815 0.3540
0.2500 0.4185 0.6460
0.2500 0.0815 0.1460
0.7500 0.9185 0.8540
0.2500 0.7517 0.5504
0.7500 0.2517 0.9496
0.2500 0.7483 0.0504
0.7500 0.2483 0.4496
0.7500 0.5244 0.5858
0.2500 0.0244 0.9142
0.2500 0.4756 0.4142
0.7500 0.9756 0.0858
```

A relaxed Cs3Te22 crystal, computed with GGA-PBE.

Computed properties:
For the mass density, the calculation gives 5.5 g/cm³. The value obtained for the calculated formation energy is -0.58 eV/atom. As for the energy above the lowest structure with this stoichiometry: 0.0 kJ/mol of atoms.

Geometry as POSCAR:
```
Cs3Te22
1.0
-9.6697 0.0000 0.0000
-0.0232 -9.6894 0.0000
4.8217 4.8071 10.4195
Te Cs
22 3
direct
0.8079 0.1009 0.0018
0.7912 0.3945 0.3851
0.0980 0.5294 0.7679
0.2090 0.6069 0.6144
0.8963 0.8058 0.9998
0.6699 0.2417 0.7676
0.4744 0.3293 0.2324
0.1957 0.8984 0.0008
0.1004 0.1934 0.0000
0.5267 0.6698 0.7654
0.4976 0.0005 0.0033
0.5907 0.9908 0.3834
0.9910 0.7899 0.3845
0.0004 0.5005 0.0017
0.9050 0.4745 0.2324
0.3269 0.7587 0.2307
0.7598 0.9045 0.2338
0.0090 0.2136 0.6159
0.2393 0.0980 0.7665
0.4079 0.0090 0.6170
0.3928 0.5935 0.3831
0.6098 0.4073 0.6159
0.1785 0.1756 0.3502
0.5010 0.5027 0.0020
0.8271 0.8292 0.6513
```

Q: Number 4 is which compound?
A: SeCl

Q: calculated formation energy of number 4 (SeCl)?
A: -0.50 eV/atom

Q: Look up the calculated formation energy of the fifth one.
A: -2.17 eV/atom

Q: mass density of number 5 (SrAl2H6C2O11)?
A: 2.8 g/cm³